1.
5
Lattice="-2.012 2.012 7.035 2.012 -2.012 7.035 2.012 2.012 -7.035" Properties=species:S:1:pos:R:3 comment="Nd2BiO2, optimized geometry, DFT GGA-PBE" volume_a3_per_atom=22.775 final_energy_ev_per_atom=-7.24 pbc="T T T"
Nd 0.000 0.000 9.368
Nd 0.000 0.000 4.703
Bi 0.000 0.000 0.000
O 0.000 2.012 3.518
O 2.012 0.000 3.518

***

2.
4
Lattice="1.851 -5.448 0.000 1.851 5.448 0.000 0.000 0.000 4.661" Properties=species:S:1:pos:R:3 comment="ErAu, optimized geometry, DFT GGA-PBE" volume_a3_per_atom=23.508 final_energy_ev_per_atom=-4.82 pbc="T T T"
Au 1.851 0.971 3.496
Au 1.851 -0.971 1.165
Er 1.851 -3.934 1.165
Er 1.851 3.934 3.496

***

3.
56
Lattice="-2.175 -3.051 9.052 7.552 -5.267 3.466 4.047 8.180 3.844" Properties=species:S:1:pos:R:3 comment="K3InP2O8, optimized geometry, DFT GGA-PBE" volume_a3_per_atom=16.137 final_energy_ev_per_atom=-6.21 pbc="T T T"
O 7.597 1.081 4.876
O 0.666 -0.925 3.995
O 8.983 -0.543 14.474
O 8.142 -1.402 9.127
O 5.992 2.945 7.492
O 5.611 -1.376 9.271
O 1.260 1.232 7.317
O 6.129 -4.728 7.135
O 10.406 1.373 9.625
O 4.803 2.660 4.746
O 3.727 0.376 11.613
O 3.434 -3.101 8.894
O 6.813 2.919 11.641
O -1.003 -1.492 6.721
O 6.816 -0.039 7.492
O 4.692 -2.814 11.623
O 1.823 -1.226 11.495
O 7.965 4.287 6.552
O 1.189 -3.290 7.620
O 3.807 1.237 7.116
O 5.668 -0.500 4.748
O 8.737 0.748 12.342
O 2.503 -0.786 6.368
O 2.651 -0.162 8.861
O 3.298 4.609 9.214
O 1.453 -4.442 9.814
O 0.431 0.420 1.875
O 5.845 -4.411 13.177
O 8.245 3.154 8.742
O 2.619 -3.058 4.725
O 3.537 4.234 3.271
O 6.903 0.660 9.986
K 8.625 -2.400 6.698
K 6.416 -3.545 3.378
K 4.695 -2.337 6.637
K 2.998 3.387 12.935
K 6.306 -4.098 9.732
K 3.149 3.885 6.494
K 9.328 1.113 7.010
K 3.325 -0.749 3.303
K 0.189 -1.183 9.262
K 4.611 2.196 9.719
K 7.843 -2.123 12.164
K 5.994 0.761 13.113
P 9.766 0.237 13.403
P 6.891 -0.535 8.981
P 4.535 3.064 3.267
P -0.343 -0.367 2.948
P 7.208 3.872 7.807
P 2.216 -4.017 8.563
P 2.528 0.387 7.403
P 4.876 -3.218 13.119
In 8.448 2.032 10.583
In 0.978 -2.164 5.762
In 5.712 1.294 6.143
In 3.703 -1.443 10.242

***

4.
72
Lattice="3.807 13.505 0.000 -3.807 13.505 0.000 0.000 3.517 11.248" Properties=species:S:1:pos:R:3 comment="Cs2ZrSi6O15, optimized geometry, DFT GGA-PBE" volume_a3_per_atom=16.063 final_energy_ev_per_atom=-7.70 pbc="T T T"
O 1.903 6.753 0.000
O 0.000 17.523 4.154
O -1.537 19.556 2.577
O -1.317 15.375 3.307
O -1.502 19.686 5.546
O 2.483 12.763 10.414
O 0.000 22.563 1.443
O 1.502 19.686 5.546
O 1.317 15.153 7.942
O 0.000 21.732 3.992
O 1.537 10.972 8.672
O -2.271 16.918 9.764
O -1.980 17.615 7.153
O 1.537 19.556 2.577
O -2.463 20.103 8.019
O 2.271 16.918 9.764
O -2.463 10.425 3.229
O -1.317 15.153 7.942
O 0.000 8.796 7.256
O 0.000 5.624 11.190
O 2.463 10.425 3.229
O 0.000 7.965 9.805
O 0.000 15.264 5.624
O 1.980 17.615 7.153
O 1.317 15.375 3.307
O 1.980 12.913 4.095
O -1.903 6.753 0.000
O -2.483 17.765 0.834
O -1.537 10.972 8.672
O 1.502 10.842 5.702
O 2.463 20.103 8.019
O 0.000 18.528 0.613
O 0.000 11.210 3.488
O -2.271 13.610 1.484
O 0.000 12.001 10.636
O -1.502 10.842 5.702
O -1.980 12.913 4.095
O 0.000 13.006 7.094
O 2.483 17.765 0.834
O 0.000 24.904 0.059
O 2.271 13.610 1.484
O 0.000 19.318 7.760
O 0.000 29.357 7.815
O 0.000 1.171 3.434
O -2.483 12.763 10.414
Si 0.000 26.820 11.228
Si 1.504 19.070 1.036
Si 0.000 15.922 4.134
Si -1.504 19.070 1.036
Si 1.506 19.179 7.076
Si 0.000 23.007 3.012
Si 1.506 11.350 4.173
Si 0.000 3.708 0.020
Si 0.000 14.606 7.114
Si -2.312 14.109 3.015
Si -1.506 11.350 4.173
Si 1.504 11.458 10.213
Si 0.000 7.521 8.236
Si 2.312 14.109 3.015
Si -2.312 16.419 8.233
Si 2.312 16.419 8.233
Si -1.504 11.458 10.213
Si -1.506 19.179 7.076
Cs 0.000 11.496 0.141
Cs 0.000 4.075 4.171
Cs 0.000 7.951 4.069
Cs 0.000 26.453 7.077
Cs 0.000 22.577 7.179
Cs 0.000 19.032 11.107
Zr 0.000 0.000 0.000
Zr 0.000 19.612 4.028
Zr 0.000 10.916 7.220

***

5.
6
Lattice="1.483 -2.568 0.000 1.483 2.568 0.000 0.000 0.000 7.682" Properties=species:S:1:pos:R:3 comment="ZrBC, optimized geometry, DFT GGA-PBE" volume_a3_per_atom=9.749 final_energy_ev_per_atom=-8.47 pbc="T T T"
B 1.483 -0.856 1.921
B 1.483 0.856 5.762
Zr 0.000 0.000 3.841
Zr 0.000 0.000 0.000
C 1.483 0.856 1.921
C 1.483 -0.856 5.762

***

6.
44
Lattice="5.518 0.000 0.000 0.000 7.235 0.000 0.000 0.000 15.490" Properties=species:S:1:pos:R:3 comment="SrCuTe2O7, optimized geometry, DFT GGA-PBE" volume_a3_per_atom=14.054 final_energy_ev_per_atom=-5.61 pbc="T T T"
Sr 4.138 5.598 7.093
Sr 4.138 1.637 14.838
Sr 1.379 1.637 8.397
Sr 1.379 5.598 0.652
Te 1.379 7.177 12.837
Te 4.138 3.519 10.452
Te 4.138 3.716 2.707
Te 4.138 7.177 10.398
Te 4.138 0.058 2.653
Te 1.379 0.058 5.092
Te 1.379 3.716 5.038
Te 1.379 3.519 12.783
O 5.518 0.553 1.386
O 0.053 3.909 9.272
O 0.000 0.761 11.617
O 1.379 5.477 11.920
O 2.759 6.474 3.872
O 0.000 6.682 14.104
O 1.379 1.682 13.763
O 2.706 3.326 1.527
O 2.811 3.326 6.218
O 4.138 5.553 1.727
O 1.379 1.758 4.175
O 1.379 5.553 6.018
O 2.759 6.682 14.104
O 5.465 3.326 6.218
O 0.000 0.553 6.359
O 0.053 3.326 1.527
O 2.759 0.553 6.359
O 5.465 3.909 13.963
O 4.138 1.682 9.472
O 0.000 6.474 3.872
O 2.759 0.553 1.386
O 5.518 6.682 9.131
O 2.759 0.761 11.617
O 2.706 3.909 9.272
O 4.138 5.477 11.315
O 4.138 1.758 3.570
O 2.811 3.909 13.963
O 2.759 6.682 9.131
Cu 1.379 5.346 9.506
Cu 4.138 1.889 5.984
Cu 1.379 1.889 1.761
Cu 4.138 5.346 13.729

***

7.
84
Lattice="2.885 -4.998 0.000 2.885 4.998 0.000 0.000 0.000 28.334" Properties=species:S:1:pos:R:3 comment="MgAl2O4, optimized geometry, DFT GGA-PBE" volume_a3_per_atom=9.728 e_above_lowest_polymorph_kj_per_mol_fu=10 pbc="T T T"
Al 4.350 0.820 21.238
Al 2.885 3.335 7.092
Al 4.305 2.485 2.373
Al 1.444 -0.834 11.811
Al 2.885 -0.001 16.533
Al 4.327 -0.834 11.811
Al 0.000 0.000 9.457
Al 4.331 0.831 7.092
Al 2.885 1.666 4.750
Al 4.286 -0.857 25.983
Al 2.885 -1.666 14.171
Al 1.440 0.831 7.092
Al 1.421 0.820 21.238
Al 1.443 -2.499 16.533
Al 1.485 -0.857 25.983
Al 2.885 1.666 24.285
Al 1.466 2.485 2.373
Al 2.885 -3.283 25.983
Al 0.000 0.000 0.611
Al 2.885 -3.330 11.811
Al 2.885 1.666 18.885
Al 2.885 3.357 21.238
Al 2.885 0.027 2.373
Al 4.328 -2.499 16.533
O 1.330 -0.768 22.253
O 0.000 0.000 6.090
O 2.885 -3.303 1.292
O 2.885 -3.150 15.414
O 1.562 -2.430 27.011
O 0.000 0.000 27.086
O 2.885 1.666 8.064
O 1.601 0.925 17.644
O 2.885 1.666 22.437
O 1.384 0.799 24.909
O 4.486 0.742 10.683
O 1.467 -0.847 1.292
O 4.147 2.394 20.152
O 1.285 0.742 10.683
O 4.170 -0.924 15.414
O 1.600 -0.924 15.414
O 4.303 -0.847 1.292
O 2.885 -0.138 27.011
O 2.885 1.666 1.362
O 2.885 3.514 10.683
O 2.885 1.666 15.542
O 0.000 0.000 20.215
O 2.885 3.141 3.494
O 4.441 -0.768 22.253
O 2.885 0.178 5.961
O 2.885 3.400 24.909
O 4.169 0.925 17.644
O 4.174 2.410 5.961
O 4.208 -2.430 27.011
O 1.598 -2.409 12.919
O 2.885 -1.666 24.935
O 0.000 0.000 12.790
O 4.387 0.799 24.909
O 2.885 3.149 17.644
O 2.885 -3.462 22.253
O 2.885 -3.512 8.193
O 1.287 -0.743 8.193
O 1.623 2.394 20.152
O 4.484 -0.743 8.193
O 2.885 0.209 20.152
O 2.885 -1.666 10.818
O 1.597 2.410 5.961
O 4.163 0.928 3.494
O 2.885 -1.666 3.282
O 2.885 -0.180 12.919
O 4.173 -2.409 12.919
O 1.608 0.928 3.494
O 2.885 -1.666 17.536
Mg 2.885 -1.666 19.522
Mg 2.885 -1.666 22.964
Mg 2.885 1.666 13.586
Mg 2.885 1.666 10.041
Mg 0.000 0.000 18.276
Mg 2.885 1.666 27.685
Mg 2.885 -1.666 28.310
Mg 0.000 0.000 23.577
Mg 0.000 0.000 4.135
Mg 2.885 -1.666 5.297
Mg 0.000 0.000 14.759
Mg 2.885 -1.666 8.866

***

8.
22
Lattice="0.000 5.260 5.260 5.260 0.000 5.260 5.260 5.260 0.000" Properties=species:S:1:pos:R:3 comment="Ta2Cd2O7, optimized geometry, DFT GGA-PBE" volume_a3_per_atom=13.228 final_energy_ev_per_atom=-7.72 pbc="T T T"
O 7.890 7.890 5.874
O 5.260 5.260 7.276
O 7.890 7.890 9.905
O 7.890 9.905 7.890
O 3.244 5.260 5.260
O 5.874 7.890 7.890
O 5.260 3.244 5.260
O 7.890 5.874 7.890
O 5.260 7.276 5.260
O 7.276 5.260 5.260
O 2.630 2.630 2.630
O 0.000 0.000 0.000
O 9.905 7.890 7.890
O 5.260 5.260 3.244
Ta 3.945 3.945 6.575
Ta 3.945 6.575 3.945
Ta 6.575 3.945 3.945
Ta 6.575 6.575 6.575
Cd 3.945 3.945 1.315
Cd 3.945 1.315 3.945
Cd 1.315 3.945 3.945
Cd 1.315 1.315 1.315

***

9.
4
Lattice="0.000 3.020 3.020 3.020 0.000 3.020 3.020 3.020 0.000" Properties=species:S:1:pos:R:3 comment="Mn2NiSb, optimized geometry, DFT GGA-PBE" volume_a3_per_atom=13.775 final_energy_ev_per_atom=-7.00 pbc="T T T"
Mn 1.510 1.510 1.510
Mn 0.000 0.000 0.000
Sb 4.530 4.530 4.530
Ni 3.020 3.020 3.020

***

10.
10
Lattice="3.428 -4.526 0.811 -4.155 -2.533 3.035 -1.057 1.817 -5.336" Properties=species:S:1:pos:R:3 comment="EuNbO3, optimized geometry, DFT GGA-PBE" volume_a3_per_atom=13.404 final_energy_ev_per_atom=-9.78 pbc="T T T"
O -2.287 -3.300 2.625
O -2.954 -1.934 0.127
O 1.170 -3.309 -1.618
O -1.046 -4.118 0.070
O -0.738 -1.125 -1.561
O 1.560 -3.759 1.220
Nb 1.185 -1.355 -2.263
Nb -2.606 -0.358 -1.151
Eu -0.159 -1.791 0.918
Eu -1.625 -3.452 -2.409

***

11.
45
Lattice="-2.486 -0.940 -4.960 4.925 -3.557 -1.295 -6.047 -9.514 5.472" Properties=species:S:1:pos:R:3 comment="Na4ZnP4H16C2N2O16, optimized geometry, DFT GGA-PBE" volume_a3_per_atom=9.692 final_energy_ev_per_atom=-5.69 pbc="T T T"
O -1.885 -5.247 0.769
O -3.549 -7.727 0.615
O -3.112 -11.512 3.294
O -5.340 -9.794 3.900
O -0.171 -10.044 2.573
O -5.559 -9.179 1.123
O -0.059 -6.284 -1.398
O -3.437 -3.967 -3.357
O -0.348 -3.689 -1.571
O -0.496 -2.499 -4.078
O -1.723 -8.764 -1.553
O -0.552 -7.966 1.194
O 1.951 -4.832 -1.907
O -3.056 -6.045 -1.978
O -3.260 -10.322 0.787
O 1.732 -4.217 -4.684
Na -2.729 -3.800 -0.972
Na -0.879 -10.212 0.188
Na -0.508 -1.556 -0.045
Na -3.100 -12.455 -0.739
H 2.566 -2.913 -2.166
H -0.778 -6.902 -2.873
H -4.445 -7.140 -1.738
H -0.472 -2.808 -3.133
H 1.903 -4.526 -3.759
H -3.546 -6.829 3.558
H -0.995 -4.902 -4.088
H -5.511 -9.486 2.975
H -3.136 -11.203 2.349
H -0.062 -7.182 -4.342
H -2.613 -9.109 3.304
H -4.558 -10.396 3.804
H -2.830 -7.109 2.089
H 0.950 -3.615 -4.588
H 0.837 -6.871 0.954
H -6.174 -11.098 1.382
P -2.862 -9.460 -2.336
P -4.175 -9.149 0.430
P -0.746 -4.552 1.552
P 0.567 -4.862 -1.214
C -4.439 -9.209 -1.401
C 0.831 -4.802 0.617
Zn -1.804 -7.006 -0.392
N -1.003 -6.995 -3.887
N -2.605 -7.016 3.103